! K2BC3N3 PBE-GGA relaxed; values from VASP
! **E (MP2020)**: -64.71 eV per formula unit
! **Formation energy from the elements**: -346 meV per atom
! **E_tot**: -7.07 eV/atom
&SYSTEM
  ibrav = 0, nat = 18, ntyp = 4
/
ATOMIC_SPECIES
K 39.10 K.upf
B 10.81 B.upf
C 12.01 C.upf
N 14.01 N.upf
CELL_PARAMETERS angstrom
0.000 6.921 4.567
5.396 0.000 4.567
5.396 6.921 0.000
ATOMIC_POSITIONS crystal
K 0.211 0.789 0.379
K 0.629 0.871 0.461
K 0.789 0.211 0.621
K 0.871 0.629 0.039
B 0.209 0.209 0.791
B 0.459 0.459 0.041
C 0.086 0.168 0.027
C 0.168 0.086 0.719
C 0.223 0.531 0.164
C 0.374 0.374 0.626
C 0.531 0.223 0.082
C 0.624 0.624 0.876
N 0.039 0.593 0.262
N 0.143 0.988 0.657
N 0.505 0.505 0.495
N 0.593 0.039 0.107
N 0.755 0.755 0.745
N 0.988 0.143 0.211